Record 1
Density functional theory data (GGA+U) for a relaxed KV5CoH16O22 crystal.

abc: 8.885 10.809 11.208
angles: 65.99 75.40 71.05
Fractional coordinates of all 90 atoms:
H 0.392 0.129 0.041
H 0.325 0.101 0.442
H 0.126 0.403 0.963
H 0.675 0.899 0.558
H 0.423 0.446 0.123
H 0.577 0.554 0.877
H 0.053 0.832 0.365
H 0.961 0.841 0.576
H 0.436 0.399 0.001
H 0.947 0.937 0.656
H 0.608 0.871 0.959
H 0.916 0.757 0.419
H 0.039 0.159 0.424
H 0.952 0.892 0.838
H 0.648 0.989 0.817
H 0.984 0.487 0.249
H 0.053 0.063 0.344
H 0.352 0.011 0.183
H 0.393 0.237 0.399
H 0.067 0.985 0.118
H 0.947 0.168 0.635
H 0.607 0.763 0.601
H 0.864 0.496 0.712
H 0.874 0.597 0.037
H 0.084 0.243 0.581
H 0.028 0.292 0.043
H 0.933 0.015 0.882
H 0.136 0.504 0.288
H 0.564 0.601 0.999
H 0.016 0.513 0.751
H 0.048 0.108 0.162
H 0.972 0.708 0.957
O 0.218 0.435 0.796
O 0.263 0.676 0.790
O 0.829 0.823 0.162
O 0.921 0.647 0.946
O 0.743 0.192 0.922
O 0.364 0.176 0.366
O 0.737 0.324 0.210
O 0.782 0.565 0.204
O 0.171 0.177 0.838
O 0.237 0.594 0.334
O 0.293 0.906 0.512
O 0.095 0.440 0.269
O 0.485 0.404 0.619
O 0.943 0.841 0.411
O 0.009 0.931 0.872
O 0.207 0.387 0.586
O 0.642 0.891 0.862
O 0.707 0.094 0.488
O 0.079 0.353 0.054
O 0.739 0.362 0.446
O 0.478 0.353 0.410
O 0.439 0.158 0.655
O 0.561 0.842 0.345
O 0.905 0.560 0.731
O 0.456 0.200 0.869
O 0.261 0.638 0.554
O 0.057 0.156 0.334
O 0.522 0.647 0.590
O 0.596 0.626 0.902
O 0.358 0.109 0.138
O 0.404 0.374 0.098
O 0.057 0.159 0.589
O 0.279 0.837 0.304
O 0.793 0.613 0.414
O 0.544 0.800 0.131
O 0.515 0.596 0.381
O 0.721 0.163 0.696
O 0.506 0.441 0.838
O 0.991 0.069 0.128
O 0.636 0.824 0.634
O 0.257 0.808 0.078
O 0.943 0.844 0.666
O 0.494 0.559 0.162
O 0.763 0.406 0.666
V 0.327 0.496 0.478
V 0.384 0.784 0.449
V 0.634 0.275 0.803
V 0.697 0.734 0.246
V 0.616 0.216 0.551
V 0.366 0.725 0.197
V 0.303 0.266 0.754
V 0.649 0.444 0.274
V 0.351 0.556 0.726
V 0.673 0.504 0.522
K 0.680 0.084 0.220
K 0.320 0.916 0.780
Co 0.775 0.728 0.793
Co 0.225 0.272 0.207

## Properties
**Magnetization**: 2.00 μB per cell
**E (MP2020)**: -6.500 eV per atom
**ΔE_f**: -1.68 eV per atom
**Symmetry**: No. 2
**Calculated volume**: 921.0 Å³/cell

***

Record 2
Density functional theory data (GGA+U) for a relaxed MgFe4Te2O12 crystal.

abc: 4.812 4.805 9.217
angles: 90.01 90.00 89.97
Fractional coordinates of all 19 atoms:
O 0.685 0.692 0.653
O 0.810 0.185 0.846
O 0.294 0.290 0.009
O 0.311 0.312 0.329
O 0.193 0.805 0.168
O 0.315 0.308 0.653
O 0.190 0.815 0.846
O 0.211 0.792 0.491
O 0.788 0.208 0.491
O 0.706 0.710 0.009
O 0.808 0.195 0.168
O 0.689 0.688 0.329
Te 0.500 0.500 0.489
Te 0.000 0.000 0.011
Mg 0.500 0.000 0.751
Fe 0.500 0.500 0.166
Fe 0.000 0.000 0.336
Fe 0.000 0.000 0.655
Fe 0.500 0.500 0.847

## Properties
**Magnetization**: 1.99 μB per cell
**E (MP2020)**: -6.974 eV per atom
**ΔE_f**: -1.65 eV per atom
**Symmetry**: No. 3
**Calculated volume**: 213.1 Å³/cell

***

Record 3
Density functional theory data (GGA+U) for a relaxed Mg3Fe2Si3O12 crystal.

abc: 10.211 10.211 10.211
angles: 109.47 109.47 109.47
Fractional coordinates of all 80 atoms:
O 0.124 0.603 0.912
O 0.912 0.287 0.308
O 0.876 0.979 0.787
O 0.713 0.521 0.624
O 0.021 0.213 0.124
O 0.103 0.979 0.692
O 0.397 0.808 0.521
O 0.103 0.624 0.412
O 0.479 0.376 0.287
O 0.603 0.912 0.124
O 0.692 0.103 0.979
O 0.897 0.021 0.308
O 0.603 0.192 0.479
O 0.088 0.876 0.397
O 0.521 0.624 0.713
O 0.588 0.192 0.213
O 0.192 0.213 0.588
O 0.021 0.308 0.897
O 0.787 0.876 0.979
O 0.624 0.713 0.521
O 0.979 0.787 0.876
O 0.213 0.124 0.021
O 0.588 0.897 0.376
O 0.192 0.479 0.603
O 0.376 0.588 0.897
O 0.713 0.692 0.088
O 0.308 0.912 0.287
O 0.412 0.808 0.787
O 0.624 0.412 0.103
O 0.213 0.588 0.192
O 0.124 0.021 0.213
O 0.308 0.897 0.021
O 0.479 0.603 0.192
O 0.412 0.103 0.624
O 0.876 0.397 0.088
O 0.979 0.692 0.103
O 0.787 0.412 0.808
O 0.897 0.376 0.588
O 0.808 0.521 0.397
O 0.521 0.397 0.808
O 0.287 0.479 0.376
O 0.088 0.713 0.692
O 0.912 0.124 0.603
O 0.692 0.088 0.713
O 0.808 0.787 0.412
O 0.287 0.308 0.912
O 0.397 0.088 0.876
O 0.376 0.287 0.479
Mg 0.875 0.625 0.250
Mg 0.625 0.250 0.875
Mg 0.250 0.875 0.625
Mg 0.875 0.750 0.625
Mg 0.125 0.375 0.750
Mg 0.750 0.125 0.375
Mg 0.125 0.250 0.375
Mg 0.250 0.375 0.125
Mg 0.375 0.750 0.125
Mg 0.625 0.875 0.750
Mg 0.750 0.625 0.875
Mg 0.375 0.125 0.250
Si 0.375 0.250 0.625
Si 0.625 0.750 0.375
Si 0.250 0.625 0.375
Si 0.375 0.625 0.750
Si 0.875 0.125 0.750
Si 0.125 0.875 0.250
Si 0.750 0.875 0.125
Si 0.875 0.250 0.125
Si 0.625 0.375 0.250
Si 0.125 0.750 0.875
Si 0.750 0.375 0.625
Si 0.250 0.125 0.875
Fe 0.000 0.500 0.500
Fe 0.500 0.000 0.500
Fe 0.000 0.500 0.000
Fe 0.500 0.000 0.000
Fe 0.500 0.500 0.500
Fe 0.000 0.000 0.000
Fe 0.500 0.500 0.000
Fe 0.000 0.000 0.500

## Properties
**Magnetization**: 40.00 μB per cell
**E (MP2020)**: -7.656 eV per atom
**ΔE_f**: -2.79 eV per atom
**Symmetry**: No. 230
**Calculated volume**: 819.5 Å³/cell

***

Record 4
Density functional theory data (GGA+U) for a relaxed V6P7O24 crystal.

abc: 26.639 5.287 6.533
angles: 73.16 90.00 90.00
Fractional coordinates of all 74 atoms:
O 0.479 0.137 0.630
O 0.405 0.844 0.393
O 0.307 0.118 0.409
O 0.144 0.448 0.628
O 0.554 0.444 0.292
O 0.750 0.656 0.227
O 0.250 0.344 0.773
O 0.972 0.408 0.835
O 0.797 0.513 0.940
O 0.193 0.118 0.409
O 0.095 0.844 0.393
O 0.050 0.128 0.002
O 0.807 0.882 0.591
O 0.021 0.137 0.630
O 0.382 0.388 0.206
O 0.623 0.157 0.235
O 0.521 0.863 0.370
O 0.905 0.156 0.607
O 0.203 0.487 0.060
O 0.750 0.169 0.205
O 0.693 0.882 0.591
O 0.250 0.831 0.795
O 0.550 0.872 0.998
O 0.123 0.843 0.765
O 0.664 0.947 0.947
O 0.950 0.872 0.998
O 0.877 0.157 0.235
O 0.644 0.552 0.372
O 0.356 0.448 0.628
O 0.856 0.552 0.372
O 0.882 0.612 0.794
O 0.164 0.053 0.053
O 0.028 0.592 0.165
O 0.054 0.556 0.708
O 0.118 0.388 0.206
O 0.472 0.592 0.165
O 0.703 0.513 0.940
O 0.946 0.444 0.292
O 0.446 0.556 0.708
O 0.595 0.156 0.607
O 0.297 0.487 0.060
O 0.836 0.947 0.947
O 0.377 0.843 0.765
O 0.450 0.128 0.002
O 0.336 0.053 0.053
O 0.618 0.612 0.794
O 0.979 0.863 0.370
O 0.528 0.408 0.835
P 0.023 0.291 0.796
P 0.977 0.709 0.204
P 0.109 0.669 0.620
P 0.477 0.291 0.796
P 0.668 0.760 0.804
P 0.168 0.240 0.196
P 0.832 0.760 0.804
P 0.609 0.331 0.380
P 0.332 0.240 0.196
P 0.250 0.536 0.909
P 0.391 0.669 0.620
P 0.891 0.331 0.380
P 0.750 0.464 0.091
P 0.523 0.709 0.204
V 0.401 0.795 0.087
V 0.814 0.890 0.275
V 0.548 0.819 0.691
V 0.186 0.110 0.725
V 0.901 0.205 0.913
V 0.452 0.181 0.309
V 0.686 0.890 0.275
V 0.048 0.181 0.309
V 0.952 0.819 0.691
V 0.099 0.795 0.087
V 0.599 0.205 0.913
V 0.314 0.110 0.725

## Properties
**Magnetization**: 34.00 μB per cell
**E (MP2020)**: -8.307 eV per atom
**ΔE_f**: -2.60 eV per atom
**Symmetry**: No. 11
**Calculated volume**: 880.7 Å³/cell

***

Record 5
Density functional theory data (GGA+U) for a relaxed Mg2Ta2CrO8 crystal.

abc: 5.219 6.056 10.151
angles: 106.94 91.48 90.20
Fractional coordinates of all 26 atoms:
O 0.626 0.161 0.614
O 0.436 0.031 0.849
O 0.126 0.454 0.614
O 0.051 0.917 0.625
O 0.374 0.840 0.383
O 0.066 0.189 0.148
O 0.550 0.709 0.624
O 0.449 0.291 0.374
O 0.949 0.085 0.373
O 0.918 0.305 0.880
O 0.076 0.701 0.119
O 0.874 0.547 0.383
O 0.565 0.966 0.149
O 0.935 0.814 0.850
O 0.415 0.573 0.881
O 0.579 0.425 0.118
Ta 0.236 0.960 0.236
Ta 0.765 0.042 0.762
Ta 0.737 0.280 0.236
Ta 0.264 0.720 0.762
Mg 0.244 0.583 0.452
Mg 0.744 0.871 0.453
Mg 0.257 0.130 0.545
Mg 0.756 0.418 0.546
Cr 0.248 0.350 0.000
Cr 0.748 0.652 0.999

## Properties
**Magnetization**: 0.00 μB per cell
**E (MP2020)**: -8.927 eV per atom
**ΔE_f**: -3.07 eV per atom
**Symmetry**: No. 1
**Calculated volume**: 306.8 Å³/cell

***

Record 6
Density functional theory data (GGA+U) for a relaxed Co2OF3 crystal.

abc: 4.731 4.731 15.651
angles: 90.00 90.00 92.58
Fractional coordinates of all 30 atoms:
O 0.303 0.303 0.200
O 0.693 0.693 0.000
O 0.311 0.311 0.605
O 0.311 0.311 0.395
O 0.303 0.303 0.800
F 0.699 0.699 0.397
F 0.806 0.193 0.100
F 0.699 0.699 0.603
F 0.805 0.200 0.500
F 0.804 0.199 0.704
F 0.804 0.199 0.296
F 0.806 0.193 0.900
F 0.200 0.805 0.500
F 0.193 0.806 0.900
F 0.193 0.806 0.100
F 0.710 0.710 0.204
F 0.199 0.804 0.704
F 0.710 0.710 0.796
F 0.284 0.284 0.000
F 0.199 0.804 0.296
Co 0.027 0.027 0.800
Co 0.474 0.474 0.304
Co 0.027 0.027 0.200
Co 0.500 0.500 0.101
Co 0.500 0.500 0.899
Co 0.966 0.966 0.000
Co 0.487 0.487 0.500
Co 0.006 0.006 0.601
Co 0.474 0.474 0.696
Co 0.006 0.006 0.399

## Properties
**Magnetization**: 35.02 μB per cell
**E (MP2020)**: -6.079 eV per atom
**ΔE_f**: -1.93 eV per atom
**Symmetry**: No. 38
**Calculated volume**: 349.9 Å³/cell

***

Record 7
Density functional theory data (GGA+U) for a relaxed Ba2MgFe2B2P4O18 crystal.

abc: 5.412 8.351 8.211
angles: 89.73 80.57 87.64
Fractional coordinates of all 29 atoms:
O 0.264 0.391 0.352
O 0.452 0.616 0.192
O 0.992 0.572 0.193
O 0.559 0.389 0.809
O 0.536 0.985 0.744
O 0.109 0.913 0.136
O 0.744 0.613 0.646
O 0.976 0.856 0.666
O 0.738 0.819 0.442
O 0.277 0.189 0.052
O 0.906 0.091 0.865
O 0.874 0.332 0.544
O 0.479 0.024 0.255
O 0.034 0.146 0.335
O 0.277 0.188 0.558
O 0.137 0.671 0.457
O 0.018 0.434 0.806
O 0.731 0.817 0.949
Ba 0.286 0.691 0.880
Ba 0.726 0.315 0.118
B 0.891 0.743 0.542
B 0.121 0.262 0.458
P 0.804 0.438 0.703
P 0.206 0.567 0.297
P 0.227 0.061 0.190
P 0.785 0.944 0.811
Mg 0.518 0.009 0.498
Fe 0.266 0.211 0.801
Fe 0.744 0.793 0.199

## Properties
**Magnetization**: 8.00 μB per cell
**E (MP2020)**: -7.873 eV per atom
**ΔE_f**: -2.82 eV per atom
**Symmetry**: No. 1
**Calculated volume**: 365.8 Å³/cell

***

Record 8
Density functional theory data (GGA+U) for a relaxed Mn2InC10BrO10 crystal.

abc: 8.912 9.928 10.511
angles: 116.63 92.16 93.42
Fractional coordinates of all 48 atoms:
O 0.514 0.174 0.067
O 0.712 0.566 0.746
O 0.444 0.857 0.657
O 0.543 0.177 0.665
O 0.038 0.637 0.811
O 0.334 0.401 0.950
O 0.556 0.143 0.343
O 0.008 0.303 0.758
O 0.185 0.017 0.524
O 0.457 0.823 0.335
O 0.962 0.363 0.189
O 0.992 0.697 0.242
O 0.085 0.691 0.555
O 0.915 0.309 0.445
O 0.815 0.983 0.476
O 0.666 0.599 0.050
O 0.288 0.434 0.254
O 0.486 0.826 0.933
O 0.646 0.501 0.316
O 0.354 0.499 0.684
Mn 0.241 0.241 0.406
Mn 0.753 0.282 0.930
Mn 0.247 0.718 0.070
Mn 0.759 0.759 0.594
C 0.693 0.603 0.423
C 0.117 0.672 0.913
C 0.206 0.102 0.478
C 0.299 0.524 0.999
C 0.732 0.645 0.692
C 0.394 0.786 0.987
C 0.625 0.215 0.766
C 0.883 0.328 0.087
C 0.268 0.355 0.308
C 0.039 0.281 0.426
C 0.434 0.180 0.365
C 0.701 0.476 0.001
C 0.089 0.705 0.174
C 0.961 0.719 0.574
C 0.911 0.295 0.826
C 0.606 0.214 0.013
C 0.794 0.898 0.522
C 0.307 0.397 0.577
C 0.566 0.820 0.635
C 0.375 0.785 0.234
In 0.156 0.000 0.153
In 0.844 0.000 0.847
Br 0.845 0.954 0.089
Br 0.155 0.046 0.911

## Properties
**Magnetization**: 0.00 μB per cell
**E (MP2020)**: -7.644 eV per atom
**ΔE_f**: -0.79 eV per atom
**Symmetry**: No. 2
**Calculated volume**: 827.7 Å³/cell